Record 1
The following is a PBE-GGA calculation of a geometry-optimized Ti4FeS8 structure, from the Materials Project database.

Its total energy is -6.835 eV per atom. The value obtained for the formation energy is -1518 meV per atom. As for the calculated volume: 16.96 Å³/atom.

The space group is C2/m (No. 12) and the conventional cell measures 11.139, 6.782 and 8.026 Å, with angles of 90.00, 133.34 and 90.00 degrees. The inequivalent atoms are Ti at (0.000, 0.239, 0.000), Ti at (0.240, 0.000, 0.494), Fe at (0.000, 0.500, 0.500), S at (0.036, 0.500, 0.823), S at (0.050, 0.000, 0.835) and S at (0.199, 0.258, 0.665).


Record 2
The following is a PBE-GGA calculation of a geometry-optimized TmAsSe structure, from the Materials Project database.

Its total energy is -5.602 eV per atom. The value obtained for the formation energy is -1549 meV per atom. As for the calculated volume: 21.83 Å³/atom.

The space group is Pnma (No. 62) and the conventional cell measures 17.405, 3.873 and 3.886 Å, with angles of 90.00, 90.00 and 90.00 degrees. The inequivalent atoms are Tm at (0.139, 0.250, 0.241), As at (0.001, 0.250, 0.726) and Se at (0.188, 0.750, 0.742).


> Which formula does entry 2 have?

TmAsSe


> Which formula does entry 1 have?

Ti4FeS8


> The lowest calculated volume belongs to which entry?

Ti4FeS8